Record 1
# CaYbPd2

An optimized crystal structure of CaYbPd2 (r²SCAN, the Materials Project database).

Values from the calculation:
Energy relative to the elements ... -0.813 eV per atom
Magnetic moment ... 0.0 μB/f.u.
Final energy ... -23.185 eV/atom

The structure in CIF format:
```
data_CaYbPd2
_cell_length_a 6.899
_cell_length_b 6.899
_cell_length_c 6.899
_cell_angle_alpha 90.00
_cell_angle_beta 90.00
_cell_angle_gamma 90.00
_symmetry_space_group_name_H-M 'F m -3 m'
_symmetry_Int_Tables_number 225
_symmetry_space_group_name_Hall '-F 4 2 3'
loop_
_atom_site_label
_atom_site_fract_x
_atom_site_fract_y
_atom_site_fract_z
Ca1 0.000 0.000 0.000
Yb1 0.000 0.000 0.500
Pd1 0.250 0.250 0.250
```

Record 2
# CaZnPd

An optimized crystal structure of CaZnPd (r²SCAN, the Materials Project database).

Values from the calculation:
Energy relative to the elements ... -0.635 eV per atom
Magnetic moment ... 0.0 μB/f.u.
Final energy ... -13.605 eV/atom

The structure in CIF format:
```
data_CaZnPd
_cell_length_a 7.142
_cell_length_b 4.350
_cell_length_c 7.735
_cell_angle_alpha 90.00
_cell_angle_beta 90.00
_cell_angle_gamma 90.00
_symmetry_space_group_name_H-M 'P n m a'
_symmetry_Int_Tables_number 62
_symmetry_space_group_name_Hall '-P 2ac 2n'
loop_
_atom_site_label
_atom_site_fract_x
_atom_site_fract_y
_atom_site_fract_z
Ca1 0.011 0.250 0.192
Zn1 0.167 0.250 0.578
Pd1 0.206 0.750 0.398
```